Here is a relaxed structure of Li2CoP2O7 from Materials Project. Energies are from PBE with a Hubbard U.

Output
mass density	3.0	g/cm³
energy of formation	-2.4711	eV per atom

Unit cell a=5.075 b=8.823 c=13.294 alpha=71.03 beta=88.61 gamma=73.57
Atoms (fractional coordinates):
1 Li 0.071 0.489 0.339
2 Li 0.120 0.256 0.943
3 Li 0.380 0.743 0.557
4 Li 0.429 0.511 0.161
5 Li 0.571 0.489 0.839
6 Li 0.620 0.257 0.443
7 Li 0.880 0.744 0.057
8 Li 0.929 0.511 0.661
9 Co 0.103 0.163 0.587
10 Co 0.397 0.835 0.913
11 Co 0.603 0.165 0.087
12 Co 0.897 0.837 0.413
13 P 0.019 0.355 0.150
14 P 0.216 0.893 0.129
15 P 0.283 0.108 0.371
16 P 0.481 0.645 0.350
17 P 0.519 0.355 0.650
18 P 0.717 0.892 0.629
19 P 0.784 0.107 0.871
20 P 0.981 0.645 0.850
21 O 0.009 0.507 0.184
22 O 0.098 0.062 0.866
23 O 0.155 0.186 0.250
24 O 0.180 0.958 0.424
25 O 0.186 0.246 0.424
26 O 0.214 0.347 0.061
27 O 0.234 0.339 0.627
28 O 0.266 0.660 0.873
29 O 0.286 0.654 0.440
30 O 0.314 0.755 0.075
31 O 0.320 0.043 0.076
32 O 0.345 0.814 0.250
33 O 0.403 0.937 0.634
34 O 0.491 0.494 0.316
35 O 0.509 0.506 0.684
36 O 0.597 0.063 0.366
37 O 0.655 0.186 0.750
38 O 0.680 0.957 0.924
39 O 0.686 0.245 0.925
40 O 0.714 0.346 0.560
41 O 0.734 0.340 0.127
42 O 0.766 0.661 0.373
43 O 0.786 0.653 0.939
44 O 0.814 0.754 0.576
45 O 0.820 0.042 0.576
46 O 0.845 0.814 0.750
47 O 0.902 0.938 0.134
48 O 0.991 0.493 0.816

---

Here is a relaxed structure of LiCo2P2O9 from Materials Project. Energies are from PBE with a Hubbard U.

Output
mass density	3.6	g/cm³
energy of formation	-2.0377	eV per atom

Unit cell a=13.614 b=6.060 c=7.377 alpha=90.00 beta=90.00 gamma=90.00
Atoms (fractional coordinates):
1 Li 0.226 0.250 0.058
2 Li 0.274 0.750 0.558
3 Li 0.726 0.250 0.442
4 Li 0.774 0.750 0.942
5 Co 0.000 0.000 0.000
6 Co 0.000 0.500 0.000
7 Co 0.122 0.250 0.653
8 Co 0.378 0.750 0.153
9 Co 0.500 0.000 0.500
10 Co 0.500 0.500 0.500
11 Co 0.622 0.250 0.847
12 Co 0.878 0.750 0.347
13 P 0.063 0.750 0.646
14 P 0.195 0.750 0.097
15 P 0.305 0.250 0.597
16 P 0.437 0.250 0.146
17 P 0.563 0.750 0.854
18 P 0.695 0.750 0.403
19 P 0.805 0.250 0.903
20 P 0.937 0.250 0.354
21 O 0.006 0.750 0.834
22 O 0.007 0.250 0.512
23 O 0.041 0.250 0.860
24 O 0.133 0.536 0.078
25 O 0.133 0.964 0.078
26 O 0.136 0.556 0.646
27 O 0.136 0.944 0.646
28 O 0.217 0.250 0.461
29 O 0.246 0.250 0.779
30 O 0.254 0.750 0.279
31 O 0.283 0.750 0.961
32 O 0.364 0.056 0.146
33 O 0.364 0.444 0.146
34 O 0.367 0.036 0.578
35 O 0.367 0.464 0.578
36 O 0.459 0.750 0.360
37 O 0.493 0.750 0.012
38 O 0.494 0.250 0.334
39 O 0.506 0.750 0.666
40 O 0.507 0.250 0.988
41 O 0.541 0.250 0.640
42 O 0.633 0.536 0.422
43 O 0.633 0.964 0.422
44 O 0.636 0.556 0.854
45 O 0.636 0.944 0.854
46 O 0.717 0.250 0.039
47 O 0.746 0.250 0.721
48 O 0.754 0.750 0.221
49 O 0.783 0.750 0.539
50 O 0.864 0.056 0.354
51 O 0.864 0.444 0.354
52 O 0.867 0.036 0.922
53 O 0.867 0.464 0.922
54 O 0.959 0.750 0.140
55 O 0.993 0.750 0.488
56 O 0.994 0.250 0.166

---

Here is a relaxed structure of LiCoP2O7 from Materials Project. Energies are from PBE with a Hubbard U.

Output
mass density	3.4	g/cm³
energy of formation	-2.3181	eV per atom

Unit cell a=8.205 b=4.927 c=12.997 alpha=90.00 beta=115.67 gamma=90.00
Atoms (fractional coordinates):
1 Li 0.069 0.229 0.203
2 Li 0.069 0.271 0.703
3 Li 0.931 0.729 0.297
4 Li 0.931 0.771 0.797
5 Co 0.227 0.238 0.965
6 Co 0.227 0.262 0.465
7 Co 0.773 0.738 0.535
8 Co 0.773 0.762 0.035
9 P 0.195 0.731 0.114
10 P 0.195 0.769 0.614
11 P 0.337 0.741 0.361
12 P 0.337 0.759 0.861
13 P 0.663 0.241 0.139
14 P 0.663 0.259 0.639
15 P 0.805 0.231 0.386
16 P 0.805 0.269 0.886
17 O 0.025 0.666 0.625
18 O 0.025 0.834 0.125
19 O 0.183 0.075 0.586
20 O 0.183 0.425 0.086
21 O 0.193 0.553 0.863
22 O 0.193 0.947 0.363
23 O 0.251 0.603 0.537
24 O 0.251 0.897 0.037
25 O 0.255 0.050 0.844
26 O 0.255 0.450 0.344
27 O 0.351 0.716 0.741
28 O 0.351 0.784 0.241
29 O 0.479 0.214 0.547
30 O 0.479 0.286 0.047
31 O 0.521 0.714 0.953
32 O 0.521 0.786 0.453
33 O 0.649 0.216 0.759
34 O 0.649 0.284 0.259
35 O 0.745 0.550 0.656
36 O 0.745 0.950 0.156
37 O 0.749 0.103 0.963
38 O 0.749 0.397 0.463
39 O 0.807 0.053 0.637
40 O 0.807 0.447 0.137
41 O 0.817 0.575 0.914
42 O 0.817 0.925 0.414
43 O 0.975 0.166 0.875
44 O 0.975 0.334 0.375

---

Here is a relaxed structure of LiCoP2O7 from Materials Project. Energies are from PBE with a Hubbard U.

Output
mass density	3.4	g/cm³
energy of formation	-2.3530	eV per atom
maximum piezoelectric response	0.9	C/m²

Unit cell a=5.237 b=5.237 c=4.527 alpha=98.36 beta=98.36 gamma=103.02
Atoms (fractional coordinates):
1 Li 0.000 0.000 0.000
2 Co 0.628 0.372 0.000
3 P 0.082 0.497 0.591
4 P 0.503 0.918 0.409
5 O 0.228 0.772 0.500
6 O 0.283 0.370 0.750
7 O 0.404 0.099 0.198
8 O 0.630 0.717 0.250
9 O 0.683 0.068 0.712
10 O 0.901 0.596 0.802
11 O 0.932 0.317 0.288

---

Here is a relaxed structure of LiCo2P2O8 from Materials Project. Energies are from PBE with a Hubbard U.

Output
mass density	2.9	g/cm³
energy of formation	-2.2154	eV per atom

Unit cell a=5.127 b=6.691 c=10.508 alpha=90.00 beta=90.37 gamma=90.00
Atoms (fractional coordinates):
1 Li 0.000 0.231 0.000
2 Li 0.000 0.769 0.500
3 Co 0.502 0.045 0.431
4 Co 0.502 0.955 0.931
5 Co 0.998 0.467 0.250
6 Co 0.998 0.533 0.750
7 P 0.003 0.271 0.514
8 P 0.003 0.729 0.014
9 P 0.502 0.230 0.167
10 P 0.502 0.770 0.667
11 O 0.303 0.239 0.507
12 O 0.303 0.761 0.007
13 O 0.367 0.415 0.220
14 O 0.367 0.585 0.720
15 O 0.390 0.181 0.030
16 O 0.390 0.819 0.530
17 O 0.449 0.045 0.255
18 O 0.449 0.955 0.755
19 O 0.799 0.260 0.155
20 O 0.799 0.740 0.655
21 O 0.870 0.078 0.456
22 O 0.870 0.922 0.956
23 O 0.916 0.294 0.653
24 O 0.916 0.706 0.153
25 O 0.939 0.461 0.434
26 O 0.939 0.539 0.934

---

Here is a relaxed structure of Li2CoP2O7 from Materials Project. Energies are from PBE with a Hubbard U.

Output
mass density	2.9	g/cm³
energy of formation	-2.4696	eV per atom

Unit cell a=7.588 b=7.588 c=10.994 alpha=91.13 beta=91.13 gamma=116.72
Atoms (fractional coordinates):
1 Li 0.206 0.777 0.498
2 Li 0.209 0.791 0.750
3 Li 0.219 0.781 0.250
4 Li 0.223 0.794 0.002
5 Li 0.777 0.206 0.998
6 Li 0.781 0.219 0.750
7 Li 0.791 0.209 0.250
8 Li 0.794 0.223 0.502
9 Co 0.189 0.190 0.114
10 Co 0.190 0.189 0.614
11 Co 0.810 0.811 0.386
12 Co 0.811 0.810 0.886
13 P 0.177 0.407 0.867
14 P 0.201 0.410 0.369
15 P 0.407 0.177 0.367
16 P 0.410 0.201 0.869
17 P 0.590 0.799 0.131
18 P 0.593 0.823 0.633
19 P 0.799 0.590 0.631
20 P 0.823 0.593 0.133
21 O 0.065 0.282 0.975
22 O 0.076 0.302 0.744
23 O 0.084 0.302 0.481
24 O 0.089 0.299 0.250
25 O 0.217 0.620 0.874
26 O 0.256 0.627 0.373
27 O 0.282 0.065 0.475
28 O 0.299 0.089 0.750
29 O 0.302 0.076 0.244
30 O 0.302 0.084 0.981
31 O 0.373 0.744 0.127
32 O 0.380 0.783 0.626
33 O 0.394 0.408 0.873
34 O 0.408 0.394 0.373
35 O 0.592 0.606 0.627
36 O 0.606 0.592 0.127
37 O 0.620 0.217 0.374
38 O 0.627 0.256 0.873
39 O 0.698 0.916 0.019
40 O 0.698 0.924 0.756
41 O 0.701 0.911 0.250
42 O 0.718 0.935 0.525
43 O 0.744 0.373 0.627
44 O 0.783 0.380 0.126
45 O 0.911 0.701 0.750
46 O 0.916 0.698 0.519
47 O 0.924 0.698 0.256
48 O 0.935 0.718 0.025

---

Here is a relaxed structure of LiCo2P3O10 from Materials Project. Energies are from PBE with a Hubbard U.

Output
mass density	2.8	g/cm³
energy of formation	-2.3816	eV per atom

Unit cell a=8.111 b=8.111 c=9.168 alpha=117.95 beta=117.95 gamma=63.49
Atoms (fractional coordinates):
1 Li 0.097 0.903 0.750
2 Li 0.903 0.097 0.250
3 Co 0.202 0.257 0.044
4 Co 0.257 0.202 0.544
5 Co 0.743 0.798 0.456
6 Co 0.798 0.743 0.956
7 P 0.061 0.671 0.309
8 P 0.329 0.939 0.191
9 P 0.422 0.578 0.250
10 P 0.578 0.422 0.750
11 P 0.671 0.061 0.809
12 P 0.939 0.329 0.691
13 O 0.021 0.742 0.479
14 O 0.046 0.466 0.192
15 O 0.068 0.179 0.789
16 O 0.179 0.068 0.289
17 O 0.258 0.979 0.021
18 O 0.285 0.672 0.370
19 O 0.328 0.715 0.130
20 O 0.377 0.408 0.628
21 O 0.408 0.377 0.128
22 O 0.466 0.046 0.692
23 O 0.534 0.954 0.308
24 O 0.592 0.623 0.872
25 O 0.623 0.592 0.372
26 O 0.672 0.285 0.870
27 O 0.715 0.328 0.630
28 O 0.742 0.021 0.979
29 O 0.821 0.932 0.711
30 O 0.932 0.821 0.211
31 O 0.954 0.534 0.808
32 O 0.979 0.258 0.521

---

Here is a relaxed structure of LiCo2P2O8 from Materials Project. Energies are from PBE with a Hubbard U.

Output
mass density	3.0	g/cm³
energy of formation	-2.2298	eV per atom

Unit cell a=5.116 b=6.632 c=10.246 alpha=90.00 beta=92.01 gamma=90.00
Atoms (fractional coordinates):
1 Li 0.000 0.245 0.000
2 Li 0.000 0.755 0.500
3 Co 0.012 0.255 0.533
4 Co 0.012 0.745 0.033
5 Co 0.512 0.234 0.192
6 Co 0.512 0.766 0.692
7 P 0.018 0.481 0.265
8 P 0.018 0.519 0.765
9 P 0.502 0.020 0.455
10 P 0.502 0.980 0.955
11 O 0.314 0.453 0.247
12 O 0.314 0.547 0.747
13 O 0.376 0.205 0.517
14 O 0.376 0.795 0.017
15 O 0.385 0.176 0.014
16 O 0.385 0.824 0.514
17 O 0.449 0.017 0.306
18 O 0.449 0.983 0.806
19 O 0.801 0.020 0.487
20 O 0.801 0.980 0.987
21 O 0.875 0.305 0.189
22 O 0.875 0.695 0.689
23 O 0.932 0.315 0.708
24 O 0.932 0.685 0.208
25 O 0.953 0.480 0.412
26 O 0.953 0.520 0.912

---

Here is a relaxed structure of LiCoP2O7 from Materials Project. Energies are from PBE with a Hubbard U.

Output
mass density	3.2	g/cm³
energy of formation	-2.3193	eV per atom

Unit cell a=6.236 b=9.051 c=10.344 alpha=64.70 beta=85.41 gamma=73.35
Atoms (fractional coordinates):
1 Li 0.000 0.000 0.000
2 Li 0.090 0.671 0.961
3 Li 0.490 0.324 0.507
4 Li 0.667 0.751 0.106
5 Co 0.315 0.926 0.266
6 Co 0.398 0.307 0.242
7 Co 0.652 0.337 0.742
8 Co 0.732 0.723 0.715
9 P 0.119 0.633 0.281
10 P 0.132 0.388 0.786
11 P 0.321 0.008 0.532
12 P 0.446 0.128 0.029
13 P 0.609 0.518 0.955
14 P 0.726 0.634 0.453
15 P 0.918 0.256 0.196
16 P 0.921 0.012 0.700
17 O 0.025 0.080 0.197
18 O 0.026 0.921 0.851
19 O 0.029 0.565 0.780
20 O 0.080 0.343 0.218
21 O 0.091 0.099 0.585
22 O 0.169 0.755 0.330
23 O 0.235 0.282 0.952
24 O 0.273 0.914 0.451
25 O 0.336 0.487 0.302
26 O 0.338 0.364 0.699
27 O 0.389 0.959 0.062
28 O 0.402 0.489 0.041
29 O 0.417 0.158 0.442
30 O 0.453 0.886 0.674
31 O 0.464 0.116 0.184
32 O 0.587 0.530 0.800
33 O 0.596 0.753 0.307
34 O 0.626 0.487 0.543
35 O 0.653 0.156 0.943
36 O 0.672 0.681 0.929
37 O 0.709 0.163 0.677
38 O 0.711 0.279 0.283
39 O 0.768 0.733 0.529
40 O 0.818 0.360 0.030
41 O 0.870 0.897 0.642
42 O 0.959 0.543 0.403
43 O 0.970 0.297 0.770
44 O 0.996 0.717 0.134

---

Here is a relaxed structure of LiCoP2O7 from Materials Project. Energies are from PBE with a Hubbard U.

Output
mass density	2.8	g/cm³
energy of formation	-2.3032	eV per atom

Unit cell a=5.089 b=13.479 c=9.686 alpha=90.00 beta=120.40 gamma=90.00
Atoms (fractional coordinates):
1 Li 0.048 0.132 0.146
2 Li 0.048 0.368 0.646
3 Li 0.952 0.632 0.354
4 Li 0.952 0.868 0.854
5 Co 0.034 0.672 0.738
6 Co 0.034 0.828 0.238
7 Co 0.966 0.172 0.762
8 Co 0.966 0.328 0.262
9 P 0.279 0.180 0.541
10 P 0.279 0.320 0.041
11 P 0.478 0.037 0.777
12 P 0.478 0.463 0.277
13 P 0.522 0.537 0.723
14 P 0.522 0.963 0.223
15 P 0.721 0.680 0.959
16 P 0.721 0.820 0.459
17 O 0.063 0.193 0.361
18 O 0.063 0.307 0.861
19 O 0.169 0.231 0.643
20 O 0.169 0.269 0.143
21 O 0.221 0.059 0.817
22 O 0.221 0.441 0.317
23 O 0.257 0.613 0.635
24 O 0.257 0.887 0.135
25 O 0.313 0.064 0.584
26 O 0.313 0.436 0.084
27 O 0.399 0.713 0.919
28 O 0.399 0.787 0.419
29 O 0.426 0.069 0.203
30 O 0.426 0.431 0.703
31 O 0.574 0.569 0.297
32 O 0.574 0.931 0.797
33 O 0.601 0.213 0.581
34 O 0.601 0.287 0.081
35 O 0.687 0.564 0.916
36 O 0.687 0.936 0.416
37 O 0.743 0.113 0.865
38 O 0.743 0.387 0.365
39 O 0.779 0.559 0.683
40 O 0.779 0.941 0.183
41 O 0.831 0.731 0.857
42 O 0.831 0.769 0.357
43 O 0.937 0.693 0.139
44 O 0.937 0.807 0.639

---

| no. | size of the total moment (μB/cell) |
| --- | --- |
| 1 | 0.0 |
| 2 | 4.0 |
| 3 | 0.0 |
| 4 | 4.0 |
| 5 | 14.0 |
| 6 | 12.0 |
| 7 | 12.0 |
| 8 | 14.0 |
| 9 | 0.0 |
| 10 | 8.0 |